(1)
Compound: UTeP
Source: the Materials Project database
Functional: PBE-GGA
Structure: optimized geometry Values from VASP.

Structure (Quantum ESPRESSO input):
```
&SYSTEM
  ibrav = 0, nat = 12, ntyp = 3
/
ATOMIC_SPECIES
U 238.03 U.upf
Te 127.60 Te.upf
P 30.97 P.upf
CELL_PARAMETERS angstrom
4.086 0.000 0.000
0.000 4.086 0.000
0.000 0.000 16.832
ATOMIC_POSITIONS crystal
U 0.000 0.000 0.109
U 0.000 0.000 0.891
U 0.500 0.500 0.391
U 0.500 0.500 0.609
Te 0.000 0.000 0.316
Te 0.000 0.000 0.684
Te 0.500 0.500 0.184
Te 0.500 0.500 0.816
P 0.000 0.500 0.000
P 0.000 0.500 0.500
P 0.500 0.000 0.000
P 0.500 0.000 0.500
```

theoretical density: 9.38 g cm⁻³
E_form: -0.746 eV per atom
symmetry: I4/mmm (139)
final energy: -7.362 eV/atom


(2)
Compound: UTeP
Source: the Materials Project database
Functional: PBE-GGA
Structure: optimized geometry Values from VASP.

Structure (Quantum ESPRESSO input):
```
&SYSTEM
  ibrav = 0, nat = 12, ntyp = 3
/
ATOMIC_SPECIES
U 238.03 U.upf
Te 127.60 Te.upf
P 30.97 P.upf
CELL_PARAMETERS angstrom
4.154 0.000 0.000
0.000 21.702 0.000
-1.266 0.000 3.959
ATOMIC_POSITIONS crystal
U 0.000 0.083 0.000
U 0.000 0.917 0.000
U 0.500 0.417 0.000
U 0.500 0.583 0.000
Te 0.387 0.164 0.616
Te 0.387 0.836 0.616
Te 0.887 0.336 0.616
Te 0.887 0.664 0.616
P 0.001 0.500 0.995
P 0.465 0.500 0.483
P 0.501 0.000 0.995
P 0.965 0.000 0.483
```

theoretical density: 7.38 g cm⁻³
E_form: -0.589 eV per atom
symmetry: Cm (8)
final energy: -7.205 eV/atom


(3)
Compound: Zr2Te2P
Source: the Materials Project database
Functional: PBE-GGA
Structure: optimized geometry Values from VASP.

Structure (Quantum ESPRESSO input):
```
&SYSTEM
  ibrav = 0, nat = 15, ntyp = 3
/
ATOMIC_SPECIES
Zr 91.22 Zr.upf
Te 127.60 Te.upf
P 30.97 P.upf
CELL_PARAMETERS angstrom
3.853 0.000 0.000
-1.926 3.337 0.000
0.000 0.000 30.480
ATOMIC_POSITIONS crystal
Zr 0.000 0.000 0.120
Zr 0.000 0.000 0.880
Zr 0.333 0.667 0.547
Zr 0.333 0.667 0.786
Zr 0.667 0.333 0.214
Zr 0.667 0.333 0.453
Te 0.000 0.000 0.276
Te 0.000 0.000 0.724
Te 0.333 0.667 0.391
Te 0.333 0.667 0.943
Te 0.667 0.333 0.057
Te 0.667 0.333 0.609
P 0.000 0.000 0.500
P 0.333 0.667 0.167
P 0.667 0.333 0.833
```

theoretical density: 5.96 g cm⁻³
E_form: -1.116 eV per atom
symmetry: R-3m (166)
final energy: -6.875 eV/atom


(4)
Compound: ThP
Source: the Materials Project database
Functional: PBE-GGA
Structure: optimized geometry Values from VASP.

Structure (Quantum ESPRESSO input):
```
&SYSTEM
  ibrav = 0, nat = 8, ntyp = 2
/
ATOMIC_SPECIES
Th 232.04 Th.upf
P 30.97 P.upf
CELL_PARAMETERS angstrom
5.857 0.000 0.000
0.000 5.857 0.000
0.000 0.000 5.857
ATOMIC_POSITIONS crystal
Th 0.000 0.000 0.000
Th 0.000 0.500 0.500
Th 0.500 0.000 0.500
Th 0.500 0.500 0.000
P 0.000 0.000 0.500
P 0.000 0.500 0.000
P 0.500 0.000 0.000
P 0.500 0.500 0.500
```

theoretical density: 8.69 g cm⁻³
E_form: -1.553 eV per atom
symmetry: Fm-3m (225)
final energy: -7.967 eV/atom


(5)
Compound: ThP7
Source: the Materials Project database
Functional: PBE-GGA
Structure: optimized geometry Values from VASP.

Structure (Quantum ESPRESSO input):
```
&SYSTEM
  ibrav = 0, nat = 32, ntyp = 2
/
ATOMIC_SPECIES
Th 232.04 Th.upf
P 30.97 P.upf
CELL_PARAMETERS angstrom
5.633 0.000 0.000
0.000 10.261 0.000
0.000 0.000 10.456
ATOMIC_POSITIONS crystal
Th 0.137 0.011 0.331
Th 0.363 0.989 0.831
Th 0.637 0.489 0.669
Th 0.863 0.511 0.169
P 0.010 0.759 0.499
P 0.049 0.768 0.714
P 0.059 0.051 0.051
P 0.137 0.559 0.740
P 0.178 0.746 0.205
P 0.208 0.551 0.948
P 0.228 0.241 0.500
P 0.272 0.759 0.000
P 0.292 0.449 0.448
P 0.322 0.254 0.705
P 0.363 0.441 0.240
P 0.441 0.949 0.551
P 0.451 0.232 0.214
P 0.490 0.241 0.999
P 0.510 0.741 0.501
P 0.549 0.732 0.286
P 0.559 0.449 0.949
P 0.637 0.941 0.260
P 0.678 0.754 0.795
P 0.708 0.949 0.052
P 0.728 0.259 0.500
P 0.772 0.741 0.000
P 0.792 0.051 0.552
P 0.822 0.246 0.295
P 0.863 0.059 0.760
P 0.941 0.551 0.449
P 0.951 0.268 0.786
P 0.990 0.259 0.001
```

theoretical density: 4.93 g cm⁻³
E_form: -0.378 eV per atom
symmetry: P2_12_12_1 (19)
final energy: -6.042 eV/atom


(6)
Compound: Th3P4
Source: the Materials Project database
Functional: PBE-GGA
Structure: optimized geometry Values from VASP.

Structure (Quantum ESPRESSO input):
```
&SYSTEM
  ibrav = 0, nat = 14, ntyp = 2
/
ATOMIC_SPECIES
Th 232.04 Th.upf
P 30.97 P.upf
CELL_PARAMETERS angstrom
-4.323 4.323 4.323
4.323 -4.323 4.323
4.323 4.323 -4.323
ATOMIC_POSITIONS crystal
Th 0.125 0.750 0.875
Th 0.250 0.625 0.375
Th 0.375 0.250 0.625
Th 0.625 0.375 0.250
Th 0.750 0.875 0.125
Th 0.875 0.125 0.750
P 0.000 0.342 0.500
P 0.000 0.842 0.500
P 0.158 0.158 0.158
P 0.342 0.500 0.000
P 0.500 0.000 0.342
P 0.500 0.000 0.842
P 0.658 0.658 0.658
P 0.842 0.500 0.000
```

theoretical density: 8.43 g cm⁻³
E_form: -1.431 eV per atom
symmetry: I-43d (220)
final energy: -7.702 eV/atom


(7)
Compound: Ti5P3
Source: the Materials Project database
Functional: PBE-GGA
Structure: optimized geometry Values from VASP.

Structure (Quantum ESPRESSO input):
```
&SYSTEM
  ibrav = 0, nat = 32, ntyp = 2
/
ATOMIC_SPECIES
Ti 47.87 Ti.upf
P 30.97 P.upf
CELL_PARAMETERS angstrom
9.770 0.000 0.000
0.000 7.417 0.000
0.000 0.000 6.506
ATOMIC_POSITIONS crystal
Ti 0.000 0.250 0.029
Ti 0.000 0.750 0.971
Ti 0.072 0.047 0.694
Ti 0.072 0.453 0.694
Ti 0.207 0.750 0.352
Ti 0.224 0.250 0.341
Ti 0.276 0.750 0.841
Ti 0.293 0.250 0.852
Ti 0.428 0.547 0.194
Ti 0.428 0.953 0.194
Ti 0.500 0.250 0.471
Ti 0.500 0.750 0.529
Ti 0.572 0.047 0.806
Ti 0.572 0.453 0.806
Ti 0.707 0.750 0.148
Ti 0.724 0.250 0.159
Ti 0.776 0.750 0.659
Ti 0.793 0.250 0.648
Ti 0.928 0.547 0.306
Ti 0.928 0.953 0.306
P 0.015 0.750 0.579
P 0.174 0.509 0.070
P 0.174 0.991 0.070
P 0.326 0.009 0.570
P 0.326 0.491 0.570
P 0.485 0.250 0.079
P 0.515 0.750 0.921
P 0.674 0.509 0.430
P 0.674 0.991 0.430
P 0.826 0.009 0.930
P 0.826 0.491 0.930
P 0.985 0.250 0.421
```

theoretical density: 4.68 g cm⁻³
E_form: -1.123 eV per atom
symmetry: Pnma (62)
final energy: -8.088 eV/atom


(8)
Compound: Ti4P3
Source: the Materials Project database
Functional: PBE-GGA
Structure: optimized geometry Values from VASP.

Structure (Quantum ESPRESSO input):
```
&SYSTEM
  ibrav = 0, nat = 14, ntyp = 2
/
ATOMIC_SPECIES
Ti 47.87 Ti.upf
P 30.97 P.upf
CELL_PARAMETERS angstrom
-3.712 3.712 3.712
3.712 -3.712 3.712
3.712 3.712 -3.712
ATOMIC_POSITIONS crystal
Ti 0.000 0.139 0.500
Ti 0.000 0.639 0.500
Ti 0.139 0.500 0.000
Ti 0.361 0.361 0.361
Ti 0.500 0.000 0.139
Ti 0.500 0.000 0.639
Ti 0.639 0.500 0.000
Ti 0.861 0.861 0.861
P 0.125 0.875 0.250
P 0.250 0.125 0.875
P 0.375 0.625 0.750
P 0.625 0.750 0.375
P 0.750 0.375 0.625
P 0.875 0.250 0.125
```

theoretical density: 4.61 g cm⁻³
E_form: -1.152 eV per atom
symmetry: I-43d (220)
final energy: -7.984 eV/atom


(9)
Compound: TiP2
Source: the Materials Project database
Functional: PBE-GGA
Structure: optimized geometry Values from VASP.

Structure (Quantum ESPRESSO input):
```
&SYSTEM
  ibrav = 0, nat = 12, ntyp = 2
/
ATOMIC_SPECIES
Ti 47.87 Ti.upf
P 30.97 P.upf
CELL_PARAMETERS angstrom
6.170 0.000 0.000
0.000 3.350 0.000
0.000 0.000 8.280
ATOMIC_POSITIONS crystal
Ti 0.235 0.250 0.167
Ti 0.265 0.750 0.667
Ti 0.735 0.250 0.333
Ti 0.765 0.750 0.833
P 0.084 0.250 0.865
P 0.122 0.250 0.460
P 0.378 0.750 0.960
P 0.416 0.750 0.365
P 0.584 0.250 0.635
P 0.622 0.250 0.040
P 0.878 0.750 0.540
P 0.916 0.750 0.135
```

theoretical density: 4.26 g cm⁻³
E_form: -0.818 eV per atom
symmetry: Pnma (62)
final energy: -7.058 eV/atom


(10)
Compound: Ti2P
Source: the Materials Project database
Functional: PBE-GGA
Structure: optimized geometry Values from VASP.

Structure (Quantum ESPRESSO input):
```
&SYSTEM
  ibrav = 0, nat = 9, ntyp = 2
/
ATOMIC_SPECIES
Ti 47.87 Ti.upf
P 30.97 P.upf
CELL_PARAMETERS angstrom
6.618 0.000 0.000
-3.309 5.731 0.000
0.000 0.000 3.513
ATOMIC_POSITIONS crystal
Ti 0.000 0.254 0.000
Ti 0.000 0.591 0.500
Ti 0.254 0.000 0.000
Ti 0.409 0.409 0.500
Ti 0.591 0.000 0.500
Ti 0.746 0.746 0.000
P 0.000 0.000 0.500
P 0.333 0.667 0.000
P 0.667 0.333 0.000
```

theoretical density: 4.74 g cm⁻³
E_form: -1.064 eV per atom
symmetry: P-62m (189)
final energy: -8.133 eV/atom


(11)
Compound: Ti5P3
Source: the Materials Project database
Functional: PBE-GGA
Structure: optimized geometry Values from VASP.

Structure (Quantum ESPRESSO input):
```
&SYSTEM
  ibrav = 0, nat = 32, ntyp = 2
/
ATOMIC_SPECIES
Ti 47.87 Ti.upf
P 30.97 P.upf
CELL_PARAMETERS angstrom
10.265 0.000 0.000
0.000 9.700 0.000
0.000 0.000 4.982
ATOMIC_POSITIONS crystal
Ti 0.044 0.250 0.166
Ti 0.118 0.016 0.674
Ti 0.118 0.484 0.674
Ti 0.154 0.750 0.371
Ti 0.218 0.750 0.883
Ti 0.282 0.250 0.383
Ti 0.346 0.250 0.871
Ti 0.382 0.516 0.174
Ti 0.382 0.984 0.174
Ti 0.456 0.750 0.666
Ti 0.544 0.250 0.334
Ti 0.618 0.016 0.826
Ti 0.618 0.484 0.826
Ti 0.654 0.750 0.129
Ti 0.718 0.750 0.617
Ti 0.782 0.250 0.117
Ti 0.846 0.250 0.629
Ti 0.882 0.516 0.326
Ti 0.882 0.984 0.326
Ti 0.956 0.750 0.834
P 0.093 0.250 0.681
P 0.132 0.505 0.175
P 0.132 0.995 0.175
P 0.368 0.005 0.675
P 0.368 0.495 0.675
P 0.407 0.750 0.181
P 0.593 0.250 0.819
P 0.632 0.505 0.325
P 0.632 0.995 0.325
P 0.868 0.005 0.825
P 0.868 0.495 0.825
P 0.907 0.750 0.319
```

theoretical density: 4.45 g cm⁻³
E_form: -0.752 eV per atom
symmetry: Pnma (62)
final energy: -7.717 eV/atom


(12)
Compound: Zr3Ti3P2
Source: the Materials Project database
Functional: PBE-GGA
Structure: optimized geometry Values from VASP.

Structure (Quantum ESPRESSO input):
```
&SYSTEM
  ibrav = 0, nat = 8, ntyp = 3
/
ATOMIC_SPECIES
Zr 91.22 Zr.upf
Ti 47.87 Ti.upf
P 30.97 P.upf
CELL_PARAMETERS angstrom
3.585 0.000 0.000
0.000 3.710 0.000
-0.001 0.000 11.331
ATOMIC_POSITIONS crystal
Zr 0.000 0.000 0.000
Zr 0.009 0.000 0.686
Zr 0.500 0.000 0.299
Ti 0.006 0.500 0.462
Ti 0.500 0.500 0.087
Ti 0.504 0.500 0.846
P 0.000 0.500 0.237
P 0.508 0.500 0.619
```

theoretical density: 5.28 g cm⁻³
E_form: -0.552 eV per atom
symmetry: Pm (6)
final energy: -8.071 eV/atom


(13)
Compound: TlP
Source: the Materials Project database
Functional: PBE-GGA
Structure: optimized geometry Values from VASP.

Structure (Quantum ESPRESSO input):
```
&SYSTEM
  ibrav = 0, nat = 4, ntyp = 2
/
ATOMIC_SPECIES
Tl 204.38 Tl.upf
P 30.97 P.upf
CELL_PARAMETERS angstrom
4.319 0.000 0.000
-2.159 3.740 0.000
0.000 0.000 7.087
ATOMIC_POSITIONS crystal
Tl 0.333 0.667 0.000
Tl 0.667 0.333 0.500
P 0.333 0.667 0.625
P 0.667 0.333 0.125
```

theoretical density: 6.83 g cm⁻³
E_form: 0.229 eV per atom
symmetry: P6_3mc (186)
final energy: -3.659 eV/atom


(14)
Compound: TlP
Source: the Materials Project database
Functional: PBE-GGA
Structure: optimized geometry Values from VASP.

Structure (Quantum ESPRESSO input):
```
&SYSTEM
  ibrav = 0, nat = 8, ntyp = 2
/
ATOMIC_SPECIES
Tl 204.38 Tl.upf
P 30.97 P.upf
CELL_PARAMETERS angstrom
6.120 0.000 0.000
0.000 6.120 0.000
0.000 0.000 6.120
ATOMIC_POSITIONS crystal
Tl 0.000 0.000 0.000
Tl 0.000 0.500 0.500
Tl 0.500 0.000 0.500
Tl 0.500 0.500 0.000
P 0.250 0.250 0.750
P 0.250 0.750 0.250
P 0.750 0.250 0.250
P 0.750 0.750 0.750
```

theoretical density: 6.82 g cm⁻³
E_form: 0.219 eV per atom
symmetry: F-43m (216)
final energy: -3.669 eV/atom


(15)
Compound: TmP5
Source: the Materials Project database
Functional: PBE-GGA
Structure: optimized geometry Values from VASP.

Structure (Quantum ESPRESSO input):
```
&SYSTEM
  ibrav = 0, nat = 12, ntyp = 2
/
ATOMIC_SPECIES
Tm 168.93 Tm.upf
P 30.97 P.upf
CELL_PARAMETERS angstrom
4.921 0.000 0.000
0.000 9.362 0.000
-1.137 0.000 5.195
ATOMIC_POSITIONS crystal
Tm 0.003 0.250 0.347
Tm 0.997 0.750 0.653
P 0.271 0.250 0.891
P 0.283 0.528 0.405
P 0.283 0.972 0.405
P 0.383 0.593 0.043
P 0.383 0.907 0.043
P 0.617 0.093 0.957
P 0.617 0.407 0.957
P 0.717 0.028 0.595
P 0.717 0.472 0.595
P 0.729 0.750 0.109
```

theoretical density: 4.49 g cm⁻³
E_form: -0.518 eV per atom
symmetry: P2_1/m (11)
final energy: -5.775 eV/atom


(16)
Compound: TmP
Source: the Materials Project database
Functional: PBE-GGA
Structure: optimized geometry Values from VASP.

Structure (Quantum ESPRESSO input):
```
&SYSTEM
  ibrav = 0, nat = 8, ntyp = 2
/
ATOMIC_SPECIES
Tm 168.93 Tm.upf
P 30.97 P.upf
CELL_PARAMETERS angstrom
5.586 0.000 0.000
0.000 5.586 0.000
0.000 0.000 5.586
ATOMIC_POSITIONS crystal
Tm 0.000 0.000 0.000
Tm 0.000 0.500 0.500
Tm 0.500 0.000 0.500
Tm 0.500 0.500 0.000
P 0.000 0.000 0.500
P 0.000 0.500 0.000
P 0.500 0.000 0.000
P 0.500 0.500 0.500
```

theoretical density: 7.62 g cm⁻³
E_form: -1.603 eV per atom
symmetry: Fm-3m (225)
final energy: -6.548 eV/atom


(17)
Compound: Tm3P
Source: the Materials Project database
Functional: PBE-GGA
Structure: optimized geometry Values from VASP.

Structure (Quantum ESPRESSO input):
```
&SYSTEM
  ibrav = 0, nat = 4, ntyp = 2
/
ATOMIC_SPECIES
Tm 168.93 Tm.upf
P 30.97 P.upf
CELL_PARAMETERS angstrom
4.500 0.000 0.000
0.000 4.500 0.000
0.000 0.000 4.500
ATOMIC_POSITIONS crystal
Tm 0.000 0.000 0.500
Tm 0.000 0.500 0.000
Tm 0.500 0.000 0.000
P 0.500 0.500 0.500
```

theoretical density: 9.80 g cm⁻³
E_form: -0.312 eV per atom
symmetry: Pm-3m (221)
final energy: -5.023 eV/atom


(18)
Compound: U3P4
Source: the Materials Project database
Functional: PBE-GGA
Structure: optimized geometry Values from VASP.

Structure (Quantum ESPRESSO input):
```
&SYSTEM
  ibrav = 0, nat = 14, ntyp = 2
/
ATOMIC_SPECIES
U 238.03 U.upf
P 30.97 P.upf
CELL_PARAMETERS angstrom
-4.089 4.089 4.089
4.089 -4.089 4.089
4.089 4.089 -4.089
ATOMIC_POSITIONS crystal
U 0.125 0.750 0.875
U 0.250 0.625 0.375
U 0.375 0.250 0.625
U 0.625 0.375 0.250
U 0.750 0.875 0.125
U 0.875 0.125 0.750
P 0.000 0.340 0.500
P 0.000 0.840 0.500
P 0.160 0.160 0.160
P 0.340 0.500 0.000
P 0.500 0.000 0.340
P 0.500 0.000 0.840
P 0.660 0.660 0.660
P 0.840 0.500 0.000
```

theoretical density: 10.18 g cm⁻³
E_form: -0.968 eV per atom
symmetry: I-43d (220)
final energy: -8.900 eV/atom


(19)
Compound: UP2
Source: the Materials Project database
Functional: PBE-GGA
Structure: optimized geometry Values from VASP.

Structure (Quantum ESPRESSO input):
```
&SYSTEM
  ibrav = 0, nat = 6, ntyp = 2
/
ATOMIC_SPECIES
U 238.03 U.upf
P 30.97 P.upf
CELL_PARAMETERS angstrom
3.778 0.000 0.000
0.000 3.778 0.000
0.000 0.000 7.700
ATOMIC_POSITIONS crystal
U 0.250 0.250 0.218
U 0.750 0.750 0.782
P 0.250 0.250 0.857
P 0.250 0.750 0.500
P 0.750 0.250 0.500
P 0.750 0.750 0.143
```

theoretical density: 9.07 g cm⁻³
E_form: -0.798 eV per atom
symmetry: P4/nmm (129)
final energy: -8.170 eV/atom


(20)
Compound: UP
Source: the Materials Project database
Functional: PBE-GGA
Structure: optimized geometry Values from VASP.

Structure (Quantum ESPRESSO input):
```
&SYSTEM
  ibrav = 0, nat = 8, ntyp = 2
/
ATOMIC_SPECIES
U 238.03 U.upf
P 30.97 P.upf
CELL_PARAMETERS angstrom
5.564 0.000 0.000
0.000 5.564 0.000
0.000 0.000 5.564
ATOMIC_POSITIONS crystal
U 0.000 0.000 0.000
U 0.000 0.500 0.500
U 0.500 0.000 0.500
U 0.500 0.500 0.000
P 0.000 0.000 0.500
P 0.000 0.500 0.000
P 0.500 0.000 0.000
P 0.500 0.500 0.500
```

theoretical density: 10.37 g cm⁻³
E_form: -0.968 eV per atom
symmetry: Fm-3m (225)
final energy: -9.320 eV/atom